Density functional theory data (meta-GGA r2SCAN) for a relaxed Pr3BBr3 crystal.

```
28
Lattice="-5.874 5.874 5.874 5.874 -5.874 5.874 5.874 5.874 -5.874" Properties=species:S:1:pos:R:3 pbc="T T T"
Pr -1.468 7.147 1.664
B -1.468 7.342 4.405
Pr 1.468 -1.273 1.664
Br 1.571 4.406 4.508
Pr -1.273 1.664 1.468
B 1.469 -1.468 4.405
Br 4.303 7.342 -1.366
Pr 4.601 4.210 -1.468
B -1.468 4.405 1.468
Pr 4.210 1.468 1.273
Br -1.366 4.303 7.342
Pr 1.664 -1.469 7.147
Pr 1.468 1.273 4.210
Pr 1.273 4.210 1.468
Br 4.405 4.508 1.571
Br 7.342 1.366 1.571
Pr 4.210 -1.469 4.601
Pr 1.664 1.468 -1.273
Br 4.405 7.240 4.303
Br 1.366 1.571 7.342
Br 7.240 4.303 4.406
Br 7.343 -1.366 4.303
Br 4.508 1.571 4.405
Pr 7.147 1.664 -1.468
Br 4.303 4.405 7.240
Br 1.571 7.342 1.366
Pr -1.469 4.601 4.210
B 1.468 1.468 1.468
```

Output
Its formation energy is -1.47 eV per atom. As for the energy: -20.805 eV/atom. For the spin magnetization, the calculation gives 0.00 μB per cell.

=====

Density functional theory data (meta-GGA r2SCAN) for a relaxed Tb3BBr3 crystal.

```
28
Lattice="3.279 -9.141 0.787 -9.573 0.182 1.801 1.670 3.285 -9.019" Properties=species:S:1:pos:R:3 pbc="T T T"
Br -1.608 -5.167 -3.056
Tb 0.703 -5.929 -1.425
Tb -2.420 -0.243 0.341
Tb 0.141 0.714 -2.345
Tb -5.911 -1.569 -0.516
Br -4.925 -6.450 -4.138
Br -2.219 -5.598 -6.835
Tb -3.284 2.373 -5.884
Br 0.930 -1.342 -8.096
Br -1.195 -8.152 -0.559
B -1.558 1.688 -4.059
Tb -5.571 -4.192 1.554
Br -5.199 0.290 -5.128
Br 1.306 -4.245 -5.804
Br -4.729 -2.811 -2.891
Tb 3.076 -5.274 -3.709
Br -5.419 -3.369 -6.502
Br -4.198 -5.974 -0.322
Tb -0.571 0.405 -6.098
Tb 0.762 -2.332 -0.104
Br -1.905 -2.137 -5.516
Tb 0.139 -2.836 -3.365
B -1.156 -1.418 -1.608
B -7.516 -3.567 -0.060
Tb -2.855 -0.445 -3.322
Br -7.826 -0.435 -2.600
Tb -2.703 -3.370 -0.851
B -3.967 -2.194 1.097
```

Output
Its formation energy is -1.51 eV per atom. As for the energy: -21.626 eV/atom. For the spin magnetization, the calculation gives 0.00 μB per cell.

=====

Density functional theory data (meta-GGA r2SCAN) for a relaxed Tb10B2Br15 crystal.

```
27
Lattice="-3.732 -6.422 -5.088 9.718 0.220 -1.210 1.128 -2.582 10.221" Properties=species:S:1:pos:R:3 pbc="T T T"
Br 3.694 -4.205 4.072
B -0.071 -3.706 -1.659
Br 6.365 -5.958 -2.349
Br 0.601 -6.649 4.451
Tb -1.439 -4.585 0.283
Br 0.748 -2.826 6.272
Br 6.513 -2.135 -0.528
Br 2.926 -4.966 -4.050
B 7.185 -5.079 5.582
Br 3.722 -7.887 2.302
Tb 5.004 -3.468 -2.544
Br 3.419 -4.579 -0.149
Br 0.253 -3.371 2.292
Br 3.392 -0.897 1.621
Tb 8.553 -4.200 3.640
Br 0.192 -6.995 0.562
Tb 2.109 -5.317 6.467
Tb 5.652 -6.286 4.048
Br 0.000 0.000 0.000
Br 6.922 -1.790 3.360
Tb -1.916 -4.746 -3.271
Br 4.188 -3.819 7.973
Tb 1.307 -5.770 -1.733
Tb 9.029 -4.038 7.194
Br 6.860 -5.414 1.630
Tb 5.807 -3.014 5.656
Tb 1.462 -2.499 -0.125
```

Output
Its formation energy is -1.78 eV per atom. As for the energy: -21.255 eV/atom. For the spin magnetization, the calculation gives 0.00 μB per cell.

=====

Density functional theory data (meta-GGA r2SCAN) for a relaxed Tb4BBr6 crystal.

```
44
Lattice="-10.124 2.606 2.098 -4.406 -4.634 8.532 2.754 9.325 8.046" Properties=species:S:1:pos:R:3 pbc="T T T"
Br -7.770 6.155 11.091
Br -7.918 8.656 14.196
Br -11.156 4.232 12.192
B -7.153 0.946 4.962
Br -3.859 -1.359 4.480
Br -4.223 7.823 9.815
Br -10.755 1.695 9.155
Tb -3.078 2.173 12.046
Br -1.287 4.089 13.233
Br -7.233 7.434 7.364
Tb -5.843 5.347 9.011
Tb -8.699 5.124 6.630
Br -7.795 2.094 11.861
Tb -3.009 5.833 11.623
Br -11.088 -2.259 9.795
Br -4.758 2.356 14.367
Tb -8.448 2.567 3.530
Br -10.490 3.208 5.443
Tb -6.353 6.677 15.521
B -4.624 6.351 13.714
B -4.346 3.798 10.594
Tb -5.773 2.927 6.039
Br -4.289 -2.699 8.203
Tb -5.942 -0.934 6.426
B -7.431 3.499 8.082
Br -8.034 4.657 14.689
Br -3.982 5.204 6.814
Br -7.019 4.941 4.309
Br -1.022 5.602 9.522
Br -4.007 1.143 7.585
Br -4.544 -0.137 11.312
Tb -5.934 1.951 9.665
Br -3.743 2.640 3.987
Tb -2.673 3.542 8.724
Tb -9.104 3.755 9.952
Br -7.488 9.996 10.473
Tb -3.329 4.730 15.146
Tb -5.835 8.231 12.250
Tb -5.424 0.620 3.155
Br -0.689 9.556 8.882
Tb -6.004 4.370 12.637
Br -0.621 3.066 6.484
Br -7.554 -0.525 8.861
Tb -8.768 1.464 7.053
```

Output
Its formation energy is -1.76 eV per atom. As for the energy: -21.019 eV/atom. For the spin magnetization, the calculation gives 1.64 μB per cell.

=====

Density functional theory data (meta-GGA r2SCAN) for a relaxed Y3BBr3 crystal.

```
28
Lattice="-5.613 5.613 5.613 5.614 -5.613 5.613 5.613 5.613 -5.613" Properties=species:S:1:pos:R:3 pbc="T T T"
Br 4.210 6.919 4.112
Br 4.308 1.501 4.210
Br 1.501 4.210 4.308
Br 4.112 4.210 6.919
B 7.017 4.210 -1.403
Y -1.403 4.430 3.990
Br 6.919 4.112 4.210
Y 1.623 -1.403 6.797
Br 7.017 -1.306 4.112
Br 1.306 1.501 7.017
Br 4.112 7.017 -1.305
Y 1.623 1.403 -1.184
Y 1.403 1.184 3.990
Br 4.210 4.308 1.501
Y 4.430 3.990 -1.403
Y 6.797 1.623 -1.403
Y 3.990 1.403 1.184
Br 7.017 1.306 1.501
Br 1.501 7.017 1.306
B 4.210 1.403 -1.403
B -1.403 4.210 1.403
Y -1.184 1.623 1.403
Y 1.403 -1.184 1.623
B 1.403 1.403 1.403
Y 1.184 3.990 1.403
Y -1.403 6.797 1.623
Br -1.306 4.112 7.017
Y 3.990 -1.403 4.430
```

Output
Its formation energy is -1.50 eV per atom. As for the energy: -16.939 eV/atom. For the spin magnetization, the calculation gives 0.00 μB per cell.

=====

Density functional theory data (meta-GGA r2SCAN) for a relaxed Y4BBr6 crystal.

```
44
Lattice="5.604 9.032 0.024 -5.604 9.033 0.024 0.000 1.432 12.507" Properties=species:S:1:pos:R:3 pbc="T T T"
Y 3.918 10.252 4.965
Br -4.276 8.288 10.272
B 1.405 8.515 1.337
Y -1.249 8.613 1.131
Br -1.408 3.939 5.843
Y 3.918 8.529 1.337
Br 1.407 4.655 12.097
Br -1.569 11.278 2.337
Y 1.351 12.666 5.710
Y -1.249 10.168 5.170
Br 4.239 9.239 7.587
Y 1.362 7.815 3.877
Br -1.470 12.925 5.962
Br 4.276 7.573 4.018
Y -3.918 10.968 11.218
Br -1.470 5.856 0.341
Br -1.320 14.468 9.433
Br 1.470 6.572 6.593
Br 1.407 15.558 6.712
Br -4.239 8.523 1.333
Br 1.469 13.641 12.215
B -1.405 9.230 7.590
Y -1.351 6.831 6.845
Br 4.276 11.208 2.283
Br -4.239 10.258 4.969
Y 1.351 6.115 0.593
Y -1.351 13.382 11.962
Y 1.249 9.329 7.385
Br -1.569 7.502 3.964
Br -1.319 5.744 9.374
Br 1.319 5.029 3.122
B 1.405 10.267 4.965
Br 1.568 8.218 10.218
Br -1.408 14.842 0.458
Br 1.319 13.753 3.181
Y -1.362 8.530 10.131
Y 1.249 10.884 11.424
Y -3.918 9.245 7.590
Y 1.362 10.966 2.424
Br 4.239 10.974 11.222
Br -4.276 11.924 8.537
B -1.405 10.982 11.218
Y -1.362 11.682 8.678
Br 1.569 11.994 8.591
```

Output
Its formation energy is -1.76 eV per atom. As for the energy: -17.048 eV/atom. For the spin magnetization, the calculation gives 2.02 μB per cell.

=====

Density functional theory data (meta-GGA r2SCAN) for a relaxed B4C crystal.

```
15
Lattice="2.817 1.626 4.026 -2.817 1.626 4.026 0.000 -3.253 4.026" Properties=species:S:1:pos:R:3 pbc="T T T"
B 0.000 1.619 7.736
B 0.000 1.054 10.702
C 0.000 0.000 7.366
B 0.000 -1.619 4.342
B -1.402 0.810 4.342
B -1.402 -0.810 7.736
B 1.402 0.810 4.342
B 1.402 -0.810 7.736
B -0.912 -0.527 10.702
B 0.000 -1.054 1.376
B -0.912 0.527 1.376
B 0.912 0.527 1.376
B 0.912 -0.527 10.702
C 0.000 0.000 4.712
C 0.000 0.000 6.039
```

Output
Its formation energy is -0.05 eV per atom. As for the energy: -7.916 eV/atom. For the offset from the most stable computed form, the calculation gives 81 meV/atom. For the spin magnetization, the calculation gives 0.00 μB per cell.

=====

Density functional theory data (meta-GGA r2SCAN) for a relaxed B4C crystal.

```
15
Lattice="-1.248 -4.489 -1.939 -4.721 -0.123 -2.165 -0.017 -0.123 -5.193" Properties=species:S:1:pos:R:3 pbc="T T T"
B -4.160 -3.228 -3.833
B -3.033 -2.430 -6.391
B -4.238 -1.481 -3.928
B -3.511 -0.982 -5.453
B -1.822 -1.481 -5.484
C -2.573 -0.908 -3.997
B -1.767 -3.228 -5.374
C -5.250 -4.175 -8.154
B -2.482 -3.720 -3.856
B -3.453 -3.884 -5.363
C -0.700 -0.495 -1.088
B -4.562 -2.430 -5.406
B -1.444 -2.259 -3.906
B -2.958 -2.259 -2.931
B -5.970 -4.686 -9.272
```

Output
Its formation energy is -0.13 eV per atom. As for the energy: -7.997 eV/atom. For the offset from the most stable computed form, the calculation gives 0 meV/atom. For the spin magnetization, the calculation gives 0.00 μB per cell.

=====

Density functional theory data (meta-GGA r2SCAN) for a relaxed CaB2C2 crystal.

```
10
Lattice="-2.834 -3.342 -2.970 3.410 3.299 -2.347 3.825 -1.911 3.120" Properties=species:S:1:pos:R:3 pbc="T T T"
Ca 1.809 0.347 0.193
B 0.505 -0.755 -3.374
B 3.963 -0.049 -1.515
C 0.354 -0.853 -1.786
C 3.656 1.518 -1.447
B 3.896 -1.199 1.177
C 0.746 -3.472 -0.749
C 4.047 -1.101 -0.411
Ca 5.427 1.041 0.580
B 0.438 -1.905 -0.682
```

Output
Its formation energy is -0.43 eV per atom. As for the energy: -8.755 eV/atom. For the spin magnetization, the calculation gives 0.00 μB per cell.

=====

Density functional theory data (meta-GGA r2SCAN) for a relaxed Ca9B2C4Cl8 crystal.

```
46
Lattice="2.860 7.588 3.635 -8.403 2.422 -1.579 -3.222 -4.035 10.958" Properties=species:S:1:pos:R:3 pbc="T T T"
Ca -2.356 -1.243 11.562
Ca -5.899 5.155 12.877
Cl 0.000 0.000 0.000
Cl -1.474 4.631 6.348
Ca -7.694 5.610 5.821
Ca -4.614 6.763 8.508
Cl -0.642 5.673 3.519
Ca -4.151 -0.788 4.506
Cl -3.714 3.934 3.705
B -5.450 1.047 2.131
Cl -7.291 1.344 6.666
Cl -1.886 3.407 0.700
Ca -0.912 3.940 11.226
Cl -1.611 -2.018 5.479
C -2.745 5.532 9.696
Ca -5.869 2.540 4.679
Cl -2.885 -1.218 8.747
Cl -2.124 0.410 2.874
C -7.144 4.794 1.435
Ca -7.853 2.035 1.788
Cl -5.880 7.194 4.268
Cl -3.657 6.604 1.357
B -3.315 4.928 10.883
Ca -3.252 6.479 4.777
C -5.261 1.394 0.737
Cl -8.123 0.303 9.495
Cl -5.268 4.586 6.836
Ca -4.849 3.818 1.207
Ca -2.867 0.821 0.138
Ca -6.409 7.218 1.452
Cl -3.497 1.389 6.179
C -0.862 2.132 8.997
C -1.622 1.182 11.579
C -7.903 3.843 4.017
Ca -2.896 3.435 8.335
Ca -1.071 0.365 7.194
B -7.296 4.380 2.816
Cl -5.052 2.041 9.310
C -3.504 4.582 12.278
Ca -5.513 -0.504 8.237
B -1.469 1.595 10.199
Ca -7.574 3.218 9.001
Ca -1.191 2.758 4.013
C -6.020 0.443 3.319
Cl -6.642 5.566 10.140
Ca -3.917 2.157 11.808
```

Output
Its formation energy is -1.58 eV per atom. As for the energy: -8.839 eV/atom. For the spin magnetization, the calculation gives 0.00 μB per cell.

=====

Density functional theory data (meta-GGA r2SCAN) for a relaxed CeB2C2 crystal.

```
10
Lattice="3.804 0.000 0.000 0.000 5.375 0.000 0.000 0.000 5.375" Properties=species:S:1:pos:R:3 pbc="T T T"
B 1.902 4.639 3.424
B 1.902 3.424 0.736
Ce 0.000 0.000 0.000
C 1.902 1.819 0.869
C 1.902 4.507 1.819
B 1.902 1.951 4.639
B 1.902 0.736 1.951
C 1.902 0.869 3.556
C 1.902 3.556 4.507
Ce 0.000 2.688 2.688
```

Output
Its formation energy is -0.52 eV per atom. As for the energy: -13.607 eV/atom. For the spin magnetization, the calculation gives 1.91 μB per cell.

=====

Density functional theory data (meta-GGA r2SCAN) for a relaxed Dy5B2C5 crystal.

```
48
Lattice="-5.626 -5.880 -0.205 5.530 -5.381 2.596 -2.646 2.178 10.153" Properties=species:S:1:pos:R:3 pbc="T T T"
Dy -5.505 -5.175 6.463
C -4.280 -4.994 1.363
Dy -1.019 -9.342 2.871
C 2.870 -4.097 5.875
Dy 1.428 -4.176 11.446
C -0.690 -3.108 10.390
C -0.034 -4.736 8.069
B -1.999 -0.113 7.986
Dy 0.489 -0.817 10.030
Dy -0.949 -2.562 7.090
C -4.954 -5.528 4.143
B 3.138 -4.914 4.700
Dy -6.286 -3.164 9.219
C 2.504 -2.476 2.298
B -2.066 -7.881 9.635
Dy -2.816 -4.158 4.681
C -1.198 -8.191 8.507
C -0.492 -3.102 4.786
C -4.040 -4.339 9.781
Dy -1.745 -0.890 4.259
Dy -2.323 -6.085 7.488
B -0.695 -3.339 3.363
Dy 1.812 -1.906 4.953
C -1.592 -6.523 5.233
C -1.796 0.245 9.383
Dy -0.467 -8.629 6.252
B -4.557 -5.258 2.768
C 3.525 -5.726 3.554
Dy -1.772 -5.372 10.869
Dy -4.506 -1.546 6.395
C -3.366 -3.804 7.001
Dy -3.183 -2.635 1.319
C -5.199 -0.976 9.051
C -3.876 -2.065 3.975
Dy 2.232 -3.472 8.114
C -2.202 -0.350 6.563
Dy 0.393 -1.483 1.553
B -0.725 -6.833 4.105
C -0.899 -3.697 1.966
C 1.181 -1.387 7.374
Dy -3.087 -1.969 9.796
B -0.302 -3.919 9.245
Dy -2.034 -6.168 1.926
C 0.144 -7.022 2.951
Dy 1.408 -4.657 2.498
Dy 0.603 -5.361 5.830
B -3.763 -4.074 8.376
C -2.934 -7.691 10.789
```

Output
Its formation energy is -0.61 eV per atom. As for the energy: -19.307 eV/atom. For the spin magnetization, the calculation gives 0.00 μB per cell.